1.
# CaAl2Si2H4O10 | the Materials Project | PBE-GGA | optimized geometry
data_CaAl2Si2H4O10
_chemical_formula_sum 'Ca4 Al8 Si8 H16 O40'
_cell_length_a 13.176
_cell_length_b 8.844
_cell_length_c 5.949
_cell_angle_alpha 90.00
_cell_angle_beta 90.00
_cell_angle_gamma 90.00
_symmetry_space_group_name_H-M 'P n a 21'
_symmetry_Int_Tables_number 33
loop_
_symmetry_equiv_pos_as_xyz
'x,y,z'
'-x,-y,z+1/2'
'-x+1/2,y+1/2,z+1/2'
'x+1/2,-y+1/2,z'
loop_
_atom_site_label
_atom_site_fract_x
_atom_site_fract_y
_atom_site_fract_z
_atom_site_occupancy
Ca1 0.248 0.083 0.000 1
Al1 0.001 0.999 0.263 1
Al2 0.002 0.496 0.770 1
Si1 0.131 0.229 0.513 1
Si2 0.134 0.726 0.017 1
H1 0.024 0.781 0.515 1
H2 0.106 0.334 0.042 1
H3 0.170 0.877 0.522 1
H4 0.223 0.444 0.944 1
O1 0.039 0.379 0.026 1
O2 0.050 0.888 0.515 1
O3 0.063 0.386 0.514 1
O4 0.066 0.883 0.009 1
O5 0.114 0.129 0.741 1
O6 0.117 0.625 0.244 1
O7 0.118 0.127 0.286 1
O8 0.126 0.613 0.798 1
O9 0.246 0.860 0.527 1
O10 0.249 0.299 0.523 1
# E   -513.52 eV/cell
# Crystal system   orthorhombic
# Excess energy over the best structure of this formula in the dataset   0.0000 eV/atom
# Formation energy   -2.7291 eV/atom


2.
# CaAlSiHO5 | the Materials Project | PBE-GGA | optimized geometry
data_CaAlSiHO5
_chemical_formula_sum 'Ca4 Al4 Si4 H4 O20'
_cell_length_a 5.752
_cell_length_b 7.120
_cell_length_c 8.605
_cell_angle_alpha 90.00
_cell_angle_beta 90.00
_cell_angle_gamma 90.00
_symmetry_space_group_name_H-M 'P 21 21 21'
_symmetry_Int_Tables_number 19
loop_
_symmetry_equiv_pos_as_xyz
'x,y,z'
'-x+1/2,-y,z+1/2'
'x+1/2,-y+1/2,-z'
'-x,y+1/2,-z+1/2'
loop_
_atom_site_label
_atom_site_fract_x
_atom_site_fract_y
_atom_site_fract_z
_atom_site_occupancy
Ca1 0.030 0.136 0.336 1
Al1 0.243 0.262 0.995 1
Si1 0.012 0.621 0.810 1
H1 0.020 0.977 0.007 1
O1 0.006 0.104 0.064 1
O2 0.009 0.930 0.571 1
O3 0.072 0.789 0.933 1
O4 0.232 0.149 0.789 1
O5 0.242 0.614 0.693 1
# E   -254.60 eV/cell
# Piezoelectric modulus e_max   0.27 C/m²
# Crystal system   orthorhombic
# Formation energy   -3.0863 eV/atom


3.
# CaAl4Si2H2O12 | the Materials Project | PBE-GGA | optimized geometry
data_CaAl4Si2H2O12
_chemical_formula_sum 'Ca4 Al16 Si8 H8 O48'
_cell_length_a 5.154
_cell_length_b 8.934
_cell_length_c 19.414
_cell_angle_alpha 90.00
_cell_angle_beta 95.61
_cell_angle_gamma 90.00
_symmetry_space_group_name_H-M 'C 1 c 1'
_symmetry_Int_Tables_number 9
loop_
_symmetry_equiv_pos_as_xyz
'x,y,z'
'x,-y,z+1/2'
'x+1/2,y+1/2,z'
'x+1/2,-y+1/2,z+1/2'
loop_
_atom_site_label
_atom_site_fract_x
_atom_site_fract_y
_atom_site_fract_z
_atom_site_occupancy
Ca1 0.000 0.093 0.000 1
Al1 0.049 0.243 0.608 1
Al2 0.251 0.085 0.750 1
Al3 0.251 0.418 0.750 1
Al4 0.463 0.071 0.391 1
Si1 0.036 0.427 0.105 1
Si2 0.453 0.259 0.895 1
H1 0.138 0.155 0.189 1
H2 0.367 0.343 0.312 1
O1 0.044 0.440 0.189 1
O2 0.048 0.062 0.198 1
O3 0.124 0.250 0.698 1
O4 0.138 0.417 0.572 1
O5 0.212 0.285 0.081 1
O6 0.234 0.103 0.570 1
O7 0.268 0.220 0.418 1
O8 0.288 0.393 0.929 1
O9 0.363 0.099 0.928 1
O10 0.392 0.255 0.810 1
O11 0.457 0.435 0.302 1
O12 0.464 0.052 0.302 1
# E   -605.12 eV/cell
# Crystal system   monoclinic
# Formation energy   -3.1202 eV/atom


4.
# Ca6Al6Si3H2O24 | the Materials Project | PBE-GGA | optimized geometry
data_Ca6Al6Si3H2O24
_chemical_formula_sum 'Ca12 Al12 Si6 H4 O48'
_cell_length_a 7.697
_cell_length_b 7.834
_cell_length_c 19.335
_cell_angle_alpha 97.42
_cell_angle_beta 97.91
_cell_angle_gamma 109.44
_symmetry_space_group_name_H-M 'P 1'
_symmetry_Int_Tables_number 1
loop_
_symmetry_equiv_pos_as_xyz
'x,y,z'
loop_
_atom_site_label
_atom_site_fract_x
_atom_site_fract_y
_atom_site_fract_z
_atom_site_occupancy
Ca1 0.000 0.000 0.000 1
Ca2 0.031 0.634 0.664 1
Ca3 0.099 0.382 0.900 1
Ca4 0.199 0.477 0.095 1
Ca5 0.315 0.300 0.667 1
Ca6 0.380 0.950 0.326 1
Ca7 0.423 0.719 0.569 1
Ca8 0.513 0.824 0.763 1
Ca9 0.600 0.612 0.312 1
Ca10 0.701 0.275 0.000 1
Ca11 0.738 0.030 0.231 1
Ca12 0.871 0.182 0.439 1
Al1 0.221 0.261 0.244 1
Al2 0.231 0.037 0.500 1
Al3 0.327 0.867 0.918 1
Al4 0.411 0.943 0.085 1
Al5 0.417 0.199 0.832 1
Al6 0.574 0.356 0.164 1
Al7 0.652 0.194 0.583 1
Al8 0.655 0.685 0.079 1
Al9 0.746 0.529 0.497 1
Al10 0.893 0.942 0.581 1
Al11 0.903 0.704 0.834 1
Al12 0.988 0.523 0.248 1
Si1 0.070 0.853 0.165 1
Si2 0.085 0.625 0.414 1
Si3 0.325 0.367 0.415 1
Si4 0.573 0.615 0.914 1
Si5 0.753 0.293 0.748 1
Si6 0.993 0.040 0.749 1
H1 0.001 0.620 0.983 1
H2 0.339 0.975 0.648 1
H3 0.687 0.301 0.321 1
H4 0.881 0.182 0.120 1
O1 0.013 0.307 0.238 1
O2 0.022 0.047 0.520 1
O3 0.031 0.047 0.668 1
O4 0.080 0.802 0.909 1
O5 0.082 0.660 0.186 1
O6 0.112 0.663 0.335 1
O7 0.149 0.442 0.428 1
O8 0.172 0.019 0.237 1
O9 0.174 0.902 0.098 1
O10 0.180 0.187 0.804 1
O11 0.196 0.475 0.604 1
O12 0.214 0.283 0.995 1
O13 0.229 0.806 0.472 1
O14 0.260 0.541 0.727 1
O15 0.268 0.154 0.426 1
O16 0.323 0.858 0.663 1
O17 0.354 0.366 0.333 1
O18 0.365 0.371 0.189 1
O19 0.375 0.656 0.905 1
O20 0.409 0.143 0.575 1
O21 0.416 0.988 0.851 1
O22 0.431 0.006 0.001 1
O23 0.459 0.742 0.091 1
O24 0.505 0.593 0.668 1
O25 0.508 0.803 0.257 1
O26 0.509 0.515 0.470 1
O27 0.524 0.391 0.903 1
O28 0.536 0.240 0.759 1
O29 0.569 0.128 0.150 1
O30 0.621 0.458 0.090 1
O31 0.655 0.878 0.404 1
O32 0.670 0.181 0.334 1
O33 0.681 0.980 0.575 1
O34 0.683 0.700 0.852 1
O35 0.708 0.714 0.992 1
O36 0.747 0.320 0.520 1
O37 0.748 0.480 0.242 1
O38 0.770 0.335 0.668 1
O39 0.792 0.904 0.362 1
O40 0.812 0.108 0.759 1
O41 0.852 0.705 0.572 1
O42 0.852 0.844 0.144 1
O43 0.855 0.141 0.922 1
O44 0.868 0.564 0.425 1
O45 0.898 0.474 0.805 1
O46 0.924 0.208 0.076 1
O47 0.938 0.827 0.761 1
O48 0.993 0.504 0.998 1
# E   -571.67 eV/cell
# Crystal system   triclinic
# Excess energy over the best structure of this formula in the dataset   0.0000 eV/atom
# Formation energy   -3.0733 eV/atom


5.
# CaAl2Si4H4O14 | the Materials Project | PBE-GGA | optimized geometry
data_CaAl2Si4H4O14
_chemical_formula_sum 'Ca4 Al8 Si16 H16 O56'
_cell_length_a 14.952
_cell_length_b 13.157
_cell_length_c 7.587
_cell_angle_alpha 90.00
_cell_angle_beta 109.99
_cell_angle_gamma 90.00
_symmetry_space_group_name_H-M 'C 1 2/m 1'
_symmetry_Int_Tables_number 12
loop_
_symmetry_equiv_pos_as_xyz
'x,y,z'
'-x,-y,-z'
'-x,y,-z'
'x,-y,z'
'x+1/2,y+1/2,z'
'-x+1/2,-y+1/2,-z'
'-x+1/2,y+1/2,-z'
'x+1/2,-y+1/2,z'
loop_
_atom_site_label
_atom_site_fract_x
_atom_site_fract_y
_atom_site_fract_z
_atom_site_occupancy
Ca1 0.242 0.000 0.267 1
Al1 0.127 0.309 0.740 1
Si1 0.081 0.383 0.327 1
Si2 0.240 0.382 0.156 1
H1 0.018 0.029 0.321 1
H2 0.090 0.184 0.277 1
O1 0.007 0.306 0.725 1
O2 0.048 0.500 0.257 1
O3 0.139 0.385 0.554 1
O4 0.141 0.133 0.300 1
O5 0.151 0.341 0.216 1
O6 0.167 0.185 0.749 1
O7 0.207 0.382 0.926 1
O8 0.238 0.000 0.769 1
# E   -677.14 eV/cell
# Crystal system   monoclinic
# Formation energy   -2.5945 eV/atom


6.
# CaAl2Si2HO9 | the Materials Project | PBE-GGA | optimized geometry
data_CaAl2Si2HO9
_chemical_formula_sum 'Ca4 Al8 Si8 H4 O36'
_cell_length_a 5.829
_cell_length_b 8.972
_cell_length_c 13.033
_cell_angle_alpha 90.00
_cell_angle_beta 90.00
_cell_angle_gamma 90.00
_symmetry_space_group_name_H-M 'C m c m'
_symmetry_Int_Tables_number 63
_symmetry_space_group_name_Hall '-C 2c 2'
loop_
_atom_site_label
_atom_site_fract_x
_atom_site_fract_y
_atom_site_fract_z
_atom_site_occupancy
Ca1 0.000 0.174 0.250 1
Al1 0.250 0.250 0.000 1
Si1 0.000 0.479 0.631 1
H1 0.000 0.169 0.750 1
O1 0.000 0.150 0.559 1
O2 0.000 0.363 0.066 1
O3 0.000 0.452 0.250 1
O4 0.232 0.378 0.616 1
# E   -409.10 eV/cell
# Crystal system   orthorhombic
# Formation energy   -2.6791 eV/atom


Q: Which of these has the highest formation energy?
A: CaAl2Si4H4O14


Q: Which of these has the highest E?
A: CaAlSiHO5


Q: Which formula does entry 3 have?
A: CaAl4Si2H2O12


Q: Which formula does entry 5 have?
A: CaAl2Si4H4O14